1.
Entry from Materials Project: Li6FeS4 after structural relaxation (PBE).

Output
The calculation puts the volume at 178 Å³/f.u.

a = 8.0771 Å, b = 8.0771 Å, c = 6.2865 Å
α = 90.00°, β = 90.00°, γ = 120.00°
Sites, in units of the cell vectors:
Li 0.0794 0.5397 0.0000
Li 0.1524 0.3047 0.6396
Li 0.1524 0.8476 0.6396
Li 0.3047 0.1524 0.1396
Li 0.4603 0.5397 0.0000
Li 0.4603 0.9206 0.0000
Li 0.5397 0.0794 0.5000
Li 0.5397 0.4603 0.5000
Li 0.6953 0.8476 0.6396
Li 0.8476 0.1524 0.1396
Li 0.8476 0.6953 0.1396
Li 0.9206 0.4603 0.5000
Fe 0.3333 0.6667 0.3663
Fe 0.6667 0.3333 0.8663
S 0.1784 0.3567 0.2467
S 0.1784 0.8216 0.2467
S 0.3333 0.6667 0.7327
S 0.3567 0.1784 0.7467
S 0.6433 0.8216 0.2467
S 0.6667 0.3333 0.2327
S 0.8216 0.1784 0.7467
S 0.8216 0.6433 0.7467



2.
Entry from Materials Project: Li6FeS4 after structural relaxation (PBE).

Output
The calculation puts the volume at 160 Å³/f.u.

a = 7.3309 Å, b = 7.3309 Å, c = 7.3309 Å
α = 150.68°, β = 65.47°, γ = 122.91°
Sites, in units of the cell vectors:
Li 0.1234 0.0000 0.1234
Li 0.2051 0.8365 0.3687
Li 0.4678 0.8365 0.6313
Li 0.5348 0.2284 0.3064
Li 0.8766 0.0000 0.8766
Li 0.9220 0.2284 0.6936
Fe 0.5957 0.5957 0.0000
S 0.2721 0.2721 0.0000
S 0.3052 0.5456 0.7596
S 0.7587 0.2587 0.5000
S 0.7860 0.5456 0.2404



Which structure wins on stability? 2 wins.



1.
Entry from Materials Project: Lu2FeS4 after structural relaxation (PBE).

Output
The calculation puts the volume at 156 Å³/f.u.

a = 7.5606 Å, b = 7.6821 Å, c = 31.0388 Å
α = 96.46°, β = 90.21°, γ = 119.31°
Sites, in units of the cell vectors:
Lu 0.0000 0.0000 0.0000
Lu 0.9998 0.0045 0.4952
Lu 0.0947 0.8030 0.1008
Lu 0.1087 0.3119 0.5968
Lu 0.1173 0.8040 0.5965
Lu 0.2089 0.6127 0.6967
Lu 0.2132 0.6064 0.1960
Lu 0.3043 0.4022 0.2984
Lu 0.3042 0.9078 0.8011
Lu 0.3097 0.4019 0.8019
Lu 0.3990 0.1949 0.4023
Lu 0.5008 0.9995 0.0002
Lu 0.5019 0.5031 0.9997
Lu 0.5908 0.8035 0.5968
Lu 0.6876 0.5680 0.6953
Lu 0.7030 0.0980 0.1953
Lu 0.7918 0.4018 0.8019
Lu 0.8034 0.4043 0.2989
Lu 0.8871 0.1686 0.8965
Lu 0.9064 0.7093 0.4016
Fe 0.0650 0.5591 0.9300
Fe 0.1367 0.0259 0.2702
Fe 0.2647 0.1726 0.1334
Fe 0.4099 0.2119 0.8941
Fe 0.4681 0.7775 0.3275
Fe 0.6571 0.3359 0.5235
Fe 0.7024 0.6096 0.1961
Fe 0.8697 0.9641 0.7259
Fe 0.8994 0.1842 0.4067
Fe 0.9359 0.4357 0.0675
S 0.0045 0.2523 0.2480
S 0.0125 0.2756 0.7519
S 0.0966 0.5432 0.8515
S 0.1058 0.0536 0.3454
S 0.1112 0.5583 0.3471
S 0.1148 0.0548 0.8498
S 0.1787 0.3350 0.4422
S 0.1963 0.8580 0.4474
S 0.2002 0.3461 0.9469
S 0.2247 0.8939 0.9459
S 0.2882 0.6459 0.0481
S 0.2984 0.1549 0.5480
S 0.2979 0.6455 0.5506
S 0.3016 0.1545 0.0512
S 0.3948 0.9596 0.1492
S 0.3959 0.9392 0.6477
S 0.3969 0.4543 0.6489
S 0.4400 0.4825 0.1537
S 0.4987 0.2474 0.7516
S 0.5015 0.2511 0.2481
S 0.5067 0.7553 0.2490
S 0.5086 0.7482 0.7492
S 0.5855 0.5225 0.8531
S 0.5922 0.0545 0.8498
S 0.5996 0.5559 0.3479
S 0.6364 0.0845 0.3531
S 0.6983 0.8480 0.9522
S 0.7004 0.3460 0.9470
S 0.7147 0.3529 0.4468
S 0.7167 0.8736 0.4435
S 0.7906 0.1275 0.0480
S 0.8042 0.6591 0.5485
S 0.8065 0.1544 0.5490
S 0.8101 0.6456 0.0475
S 0.8936 0.9362 0.6504
S 0.9012 0.4533 0.1476
S 0.9107 0.4550 0.6488
S 0.9133 0.9556 0.1511
S 0.9725 0.7214 0.2428
S 0.9921 0.7479 0.7492



2.
Entry from Materials Project: Lu2FeS4 after structural relaxation (PBE).

Output
The calculation puts the volume at 158 Å³/f.u.

a = 7.6381 Å, b = 7.6381 Å, c = 7.6381 Å
α = 60.00°, β = 60.00°, γ = 60.00°
Sites, in units of the cell vectors:
Lu 0.0000 0.0000 0.0000
Lu 0.0000 0.0000 0.5000
Lu 0.0000 0.5000 0.0000
Lu 0.5000 0.0000 0.0000
Fe 0.3750 0.3750 0.3750
Fe 0.6250 0.6250 0.6250
S 0.2443 0.7519 0.7519
S 0.2481 0.2481 0.2481
S 0.2481 0.2481 0.7557
S 0.2481 0.7557 0.2481
S 0.7519 0.2443 0.7519
S 0.7519 0.7519 0.2443
S 0.7519 0.7519 0.7519
S 0.7557 0.2481 0.2481



Which structure wins on stability? 2 wins.



1.
Entry from Materials Project: Mg6MnFe after structural relaxation (PBE).

Output
The calculation puts the volume at 154 Å³/f.u.

a = 4.8556 Å, b = 6.0365 Å, c = 10.5035 Å
α = 90.00°, β = 90.00°, γ = 90.00°
Sites, in units of the cell vectors:
Mg 0.0000 0.7464 0.0890
Mg 0.0000 0.2464 0.5890
Mg 0.5000 0.7499 0.9172
Mg 0.5000 0.7501 0.4172
Mg 0.0000 0.0000 0.8259
Mg 0.0000 0.2536 0.0890
Mg 0.0000 0.5000 0.3259
Mg 0.5000 0.2499 0.4172
Mg 0.0000 0.7536 0.5890
Mg 0.0000 0.0000 0.3279
Mg 0.5000 0.2501 0.9172
Mg 0.0000 0.5000 0.8279
Mn 0.5000 0.5000 0.6660
Mn 0.5000 0.0000 0.1660
Fe 0.5000 0.0000 0.6676
Fe 0.5000 0.5000 0.1676



2.
Entry from Materials Project: Mg6MnFe after structural relaxation (PBE).

Output
The calculation puts the volume at 155 Å³/f.u.

a = 4.8098 Å, b = 6.0582 Å, c = 10.6349 Å
α = 90.00°, β = 90.00°, γ = 90.00°
Sites, in units of the cell vectors:
Mg 0.0000 0.2376 0.5886
Mg 0.0000 0.2624 0.0886
Mg 0.0000 0.7624 0.5886
Mg 0.5000 0.5000 0.6665
Mg 0.0000 0.5000 0.8336
Mg 0.0000 0.7376 0.0886
Mg 0.5000 0.2392 0.9113
Mg 0.5000 0.2608 0.4113
Mg 0.5000 0.7392 0.4113
Mg 0.5000 0.7608 0.9113
Mg 0.5000 0.0000 0.1665
Mg 0.0000 0.0000 0.3336
Mn 0.0000 0.0000 0.8210
Mn 0.0000 0.5000 0.3210
Fe 0.5000 0.0000 0.6791
Fe 0.5000 0.5000 0.1791



Which structure wins on stability? 2 wins.



1.
Entry from Materials Project: Mg6FeMo after structural relaxation (PBE).

Output
The calculation puts the volume at 151 Å³/f.u.

a = 4.7162 Å, b = 5.9208 Å, c = 10.7920 Å
α = 90.00°, β = 90.00°, γ = 90.00°
Sites, in units of the cell vectors:
Mg 0.5000 0.0000 0.1695
Mg 0.5000 0.5000 0.6695
Mg 0.5000 0.2415 0.9210
Mg 0.0000 0.7607 0.5830
Mg 0.0000 0.7393 0.0830
Mg 0.0000 0.0000 0.3299
Mg 0.5000 0.7415 0.4210
Mg 0.0000 0.2393 0.5830
Mg 0.0000 0.2607 0.0830
Mg 0.5000 0.7585 0.9210
Mg 0.5000 0.2585 0.4210
Mg 0.0000 0.5000 0.8299
Fe 0.0000 0.0000 0.8051
Fe 0.0000 0.5000 0.3051
Mo 0.5000 0.5000 0.1875
Mo 0.5000 0.0000 0.6875



2.
Entry from Materials Project: Mg6FeMo after structural relaxation (PBE).

Output
The calculation puts the volume at 151 Å³/f.u.

a = 4.8174 Å, b = 6.0544 Å, c = 6.0544 Å
α = 58.56°, β = 90.00°, γ = 90.00°
Sites, in units of the cell vectors:
Mg 0.0000 0.9996 0.9996
Mg 0.0000 0.0184 0.5146
Mg 0.0000 0.5000 0.5000
Mg 0.0000 0.5146 0.0184
Mg 0.5000 0.3468 0.8441
Mg 0.5000 0.8441 0.3468
Fe 0.5000 0.8441 0.8441
Mo 0.5000 0.3465 0.3465



Which structure wins on stability? 1 wins.



1.
Entry from Materials Project: Mg6NbFe after structural relaxation (PBE).

Output
The calculation puts the volume at 152 Å³/f.u.

a = 4.6727 Å, b = 5.9679 Å, c = 10.8772 Å
α = 90.00°, β = 90.00°, γ = 90.00°
Sites, in units of the cell vectors:
Mg 0.0000 0.7601 0.5804
Mg 0.5000 0.5000 0.6679
Mg 0.0000 0.7399 0.0804
Mg 0.5000 0.7598 0.9235
Mg 0.0000 0.0000 0.3282
Mg 0.5000 0.0000 0.1679
Mg 0.5000 0.2598 0.4235
Mg 0.5000 0.2402 0.9235
Mg 0.5000 0.7402 0.4235
Mg 0.0000 0.2399 0.5804
Mg 0.0000 0.2601 0.0804
Mg 0.0000 0.5000 0.8282
Fe 0.0000 0.0000 0.8035
Fe 0.0000 0.5000 0.3035
Nb 0.5000 0.0000 0.6927
Nb 0.5000 0.5000 0.1927



2.
Entry from Materials Project: Mg6NbFe after structural relaxation (PBE).

Output
The calculation puts the volume at 151 Å³/f.u.

a = 4.8307 Å, b = 5.7261 Å, c = 10.9085 Å
α = 90.00°, β = 90.00°, γ = 90.00°
Sites, in units of the cell vectors:
Mg 0.5000 0.7510 0.9261
Mg 0.0000 0.2487 0.0845
Mg 0.0000 0.5000 0.3255
Mg 0.0000 0.2513 0.5845
Mg 0.0000 0.7487 0.5845
Mg 0.5000 0.7490 0.4261
Mg 0.0000 0.5000 0.8075
Mg 0.0000 0.0000 0.8255
Mg 0.5000 0.2490 0.9261
Mg 0.5000 0.2510 0.4261
Mg 0.0000 0.7513 0.0845
Mg 0.0000 0.0000 0.3075
Nb 0.5000 0.0000 0.6788
Nb 0.5000 0.5000 0.1788
Fe 0.5000 0.5000 0.6669
Fe 0.5000 0.0000 0.1669



Which structure wins on stability? 1 wins.



1.
Entry from Materials Project: Mg6FeNi after structural relaxation (PBE).

Output
The calculation puts the volume at 141 Å³/f.u.

a = 4.6141 Å, b = 6.0444 Å, c = 10.0897 Å
α = 90.00°, β = 90.00°, γ = 90.00°
Sites, in units of the cell vectors:
Mg 0.5000 0.5000 0.1760
Mg 0.5000 0.2531 0.4082
Mg 0.5000 0.7531 0.9082
Mg 0.0000 0.7511 0.5841
Mg 0.0000 0.2489 0.5841
Mg 0.5000 0.5000 0.6757
Mg 0.0000 0.2511 0.0841
Mg 0.5000 0.0000 0.1757
Mg 0.5000 0.2469 0.9082
Mg 0.0000 0.7489 0.0841
Mg 0.5000 0.7469 0.4082
Mg 0.5000 0.0000 0.6760
Fe 0.0000 0.5000 0.3316
Fe 0.0000 0.0000 0.8316
Ni 0.0000 0.0000 0.3321
Ni 0.0000 0.5000 0.8321



2.
Entry from Materials Project: Mg6FeNi after structural relaxation (PBE).

Output
The calculation puts the volume at 148 Å³/f.u.

a = 5.9953 Å, b = 5.9953 Å, c = 4.7447 Å
α = 90.00°, β = 90.00°, γ = 120.00°
Sites, in units of the cell vectors:
Mg 0.0134 0.5067 0.0000
Mg 0.3180 0.1590 0.5000
Mg 0.4933 0.5067 0.0000
Mg 0.4933 0.9866 0.0000
Mg 0.8410 0.1590 0.5000
Mg 0.8410 0.6820 0.5000
Fe 0.0000 0.0000 0.0000
Ni 0.3333 0.6667 0.5000



3.
Entry from Materials Project: Mg6FeNi after structural relaxation (PBE).

Output
The calculation puts the volume at 149 Å³/f.u.

a = 4.7077 Å, b = 6.1309 Å, c = 6.1309 Å
α = 57.64°, β = 90.00°, γ = 90.00°
Sites, in units of the cell vectors:
Mg 0.0000 0.0000 0.0000
Mg 0.0000 0.5056 0.9784
Mg 0.0000 0.9784 0.5056
Mg 0.5000 0.1659 0.1659
Mg 0.5000 0.1835 0.6587
Mg 0.5000 0.6587 0.1835
Fe 0.5000 0.6458 0.6458
Ni 0.0000 0.5228 0.5228



Which structure wins on stability? 2 wins.



1.
Entry from Materials Project: Mg14FeNi after structural relaxation (PBE).

Output
The calculation puts the volume at 317 Å³/f.u.

a = 6.1459 Å, b = 6.1459 Å, c = 9.6934 Å
α = 90.00°, β = 90.00°, γ = 120.00°
Sites, in units of the cell vectors:
Mg 0.0000 0.0000 0.2491
Mg 0.0000 0.0000 0.7509
Mg 0.0190 0.5095 0.2491
Mg 0.0190 0.5095 0.7509
Mg 0.3332 0.1666 0.5000
Mg 0.3344 0.1672 0.0000
Mg 0.4905 0.5095 0.2491
Mg 0.4905 0.5095 0.7509
Mg 0.4905 0.9810 0.2491
Mg 0.4905 0.9810 0.7509
Mg 0.8328 0.1672 0.0000
Mg 0.8334 0.1666 0.5000
Mg 0.8328 0.6656 0.0000
Mg 0.8334 0.6668 0.5000
Fe 0.3333 0.6667 0.0000
Ni 0.3333 0.6667 0.5000



2.
Entry from Materials Project: Mg14FeNi after structural relaxation (PBE).

Output
The calculation puts the volume at 333 Å³/f.u.

a = 9.7176 Å, b = 6.2677 Å, c = 6.2677 Å
α = 60.74°, β = 90.00°, γ = 90.00°
Sites, in units of the cell vectors:
Mg 0.0000 0.0000 0.0000
Mg 0.0000 0.0054 0.5054
Mg 0.0000 0.4990 0.4990
Mg 0.0000 0.5054 0.0054
Mg 0.2506 0.6689 0.6689
Mg 0.2521 0.1704 0.1704
Mg 0.2846 0.1765 0.6833
Mg 0.2846 0.6833 0.1765
Mg 0.5000 0.4773 0.9784
Mg 0.5000 0.9784 0.4773
Mg 0.7154 0.1765 0.6833
Mg 0.7154 0.6833 0.1765
Mg 0.7479 0.1704 0.1704
Mg 0.7494 0.6689 0.6689
Fe 0.5000 0.5127 0.5127
Ni 0.5000 0.0184 0.0184



Which structure wins on stability? 2 wins.



1.
Entry from Materials Project: RbMg6Fe after structural relaxation (PBE).

Output
The calculation puts the volume at 201 Å³/f.u.

a = 5.3171 Å, b = 6.5906 Å, c = 6.5906 Å
α = 60.53°, β = 90.00°, γ = 90.00°
Sites, in units of the cell vectors:
Rb 0.0000 0.0000 0.0000
Mg 0.0000 0.5014 0.9915
Mg 0.0000 0.9915 0.5014
Mg 0.5000 0.3387 0.3387
Mg 0.5000 0.3561 0.8047
Mg 0.5000 0.8047 0.3561
Mg 0.5000 0.8194 0.8194
Fe 0.0000 0.5202 0.5202



2.
Entry from Materials Project: RbMg6Fe after structural relaxation (PBE).

Output
The calculation puts the volume at 199 Å³/f.u.

a = 5.0338 Å, b = 6.7419 Å, c = 11.7462 Å
α = 90.00°, β = 90.00°, γ = 90.00°
Sites, in units of the cell vectors:
Mg 0.5000 0.0000 0.1660
Mg 0.0000 0.2208 0.0661
Mg 0.0000 0.7792 0.0661
Mg 0.0000 0.7208 0.5661
Mg 0.0000 0.2792 0.5661
Mg 0.5000 0.2718 0.4128
Mg 0.5000 0.5000 0.6660
Mg 0.0000 0.5000 0.8341
Mg 0.5000 0.7282 0.4128
Mg 0.5000 0.7718 0.9128
Mg 0.5000 0.2282 0.9128
Mg 0.0000 0.0000 0.3341
Rb 0.5000 0.5000 0.1703
Rb 0.5000 0.0000 0.6703
Fe 0.0000 0.0000 0.8718
Fe 0.0000 0.5000 0.3718



Which structure wins on stability? 2 wins.